This record from Materials Project describes crystalline Li9Mn7O16 at its relaxed geometry. The functional is GGA+U.

Lattice parameters (Å, degrees): 5.840 6.021 9.883 77.62 81.82 61.57
Space group P-1 (No. 2)
Symmetry-distinct sites (fractional):
Li: 0.000 0.000 0.000 (multiplicity 1)
Li: 0.000 0.500 0.000 (multiplicity 1)
Li: 0.120 0.129 0.249 (multiplicity 2)
Li: 0.248 0.752 0.503 (multiplicity 2)
Li: 0.372 0.378 0.754 (multiplicity 2)
Li: 0.500 0.000 0.000 (multiplicity 1)
Mn: 0.128 0.623 0.245 (multiplicity 2)
Mn: 0.249 0.248 0.501 (multiplicity 2)
Mn: 0.366 0.885 0.757 (multiplicity 2)
Mn: 0.500 0.500 0.000 (multiplicity 1)
O: 0.037 0.570 0.625 (multiplicity 2)
O: 0.081 0.058 0.624 (multiplicity 2)
O: 0.177 0.185 0.862 (multiplicity 2)
O: 0.212 0.686 0.874 (multiplicity 2)
O: 0.325 0.767 0.117 (multiplicity 2)
O: 0.339 0.302 0.118 (multiplicity 2)
O: 0.425 0.424 0.371 (multiplicity 2)
O: 0.463 0.932 0.371 (multiplicity 2)

Calculated values
Energy relative to the elements in eV per atom: -2.1327
M_tot in μB/atom: 0.81